Computed, not measured: a relaxed Np2Si4Mo3 crystal at the PBE-GGA level of DFT.

Cell and atoms, written as extended XYZ:
```
18
Lattice="-4.8195 -4.4087 1.8210 3.8898 -2.7311 -4.9609 4.2174 -2.6434 4.7620" Properties=species:S:1:pos:R:3 pbc="T T T"
Si 0.6071 -5.0834 5.2776
Si 2.6806 -4.6998 -3.6554
Si 1.1623 -1.7973 -1.5899
Si 2.7965 -4.6917 0.3383
Si 2.1254 -7.9859 3.2121
Mo 2.0882 -7.1187 0.8177
Mo 5.2214 -5.3678 0.7241
Np 0.6541 -4.7380 -1.6087
Mo 1.1995 -2.6644 0.8044
Mo -1.9337 -4.4153 0.8980
Si 1.2559 -7.5215 -1.6326
Np 2.6336 -5.0451 3.2308
Np 3.8176 -3.0061 -1.6681
Si 2.0318 -2.2616 3.2548
Np -0.5299 -6.7770 3.2902
Mo 0.0000 0.0000 0.0000
Si 0.4913 -5.0914 1.2838
Mo -0.3010 -3.5260 3.2915
```

Output
The calculated formation energy is -399 meV/atom. Its space group is P2_1/c (14). For the uncorrected energy, the calculation gives -9.3024 eV per atom.


Computed, not measured: a relaxed MoOs crystal at the PBE-GGA level of DFT.

Cell and atoms, written as extended XYZ:
```
2
Lattice="1.3909 -2.4091 0.0000 1.3909 2.4091 0.0000 0.0000 0.0000 4.5071" Properties=species:S:1:pos:R:3 pbc="T T T"
Mo 1.3909 -0.8030 2.2535
Os 1.3909 0.8030 0.0000
```

Output
The calculated formation energy is 78 meV/atom. Its space group is P-6m2 (187). For the uncorrected energy, the calculation gives -10.9583 eV per atom.


Computed, not measured: a relaxed Mo3Os crystal at the PBE-GGA level of DFT.

Cell and atoms, written as extended XYZ:
```
8
Lattice="5.0033 0.0000 0.0000 0.0000 5.0033 0.0000 0.0000 0.0000 5.0033" Properties=species:S:1:pos:R:3 pbc="T T T"
Mo 3.7525 0.0000 2.5016
Mo 2.5016 3.7525 0.0000
Os 0.0000 0.0000 0.0000
Os 2.5016 2.5016 2.5016
Mo 0.0000 2.5016 1.2508
Mo 0.0000 2.5016 3.7525
Mo 1.2508 0.0000 2.5016
Mo 2.5016 1.2508 0.0000
```

Output
The calculated formation energy is 11 meV/atom. Its space group is Pm-3n (223). For the uncorrected energy, the calculation gives -10.9299 eV per atom.


Computed, not measured: a relaxed V2MoOs crystal at the PBE-GGA level of DFT.

Cell and atoms, written as extended XYZ:
```
4
Lattice="0.0000 3.0442 3.0442 3.0442 0.0000 3.0442 3.0442 3.0442 0.0000" Properties=species:S:1:pos:R:3 pbc="T T T"
V 1.5221 1.5221 1.5221
Os 0.0000 0.0000 0.0000
V 4.5663 4.5663 4.5663
Mo 3.0442 3.0442 3.0442
```

Output
The calculated formation energy is -309 meV/atom. Its space group is Fm-3m (225). For the uncorrected energy, the calculation gives -10.3692 eV per atom.


Computed, not measured: a relaxed MoP crystal at the PBE-GGA level of DFT.

Cell and atoms, written as extended XYZ:
```
2
Lattice="0.0000 2.4796 2.4796 2.4796 0.0000 2.4796 2.4796 2.4796 0.0000" Properties=species:S:1:pos:R:3 pbc="T T T"
P 2.4796 2.4796 2.4796
Mo 0.0000 0.0000 0.0000
```

Output
The calculated formation energy is 19 meV/atom. Its space group is Fm-3m (225). For the uncorrected energy, the calculation gives -8.1108 eV per atom.


Computed, not measured: a relaxed MoP crystal at the PBE-GGA level of DFT.

Cell and atoms, written as extended XYZ:
```
2
Lattice="0.0000 2.7153 2.7153 2.7153 0.0000 2.7153 2.7153 2.7153 0.0000" Properties=species:S:1:pos:R:3 pbc="T T T"
Mo 0.0000 0.0000 0.0000
P 1.3576 1.3576 1.3576
```

Output
The calculated formation energy is 239 meV/atom. Its space group is F-43m (216). For the uncorrected energy, the calculation gives -7.8908 eV per atom.


Computed, not measured: a relaxed Mo8P5 crystal at the PBE-GGA level of DFT.

Cell and atoms, written as extended XYZ:
```
13
Lattice="-3.0456 -0.7959 -0.6074 1.4150 -0.5233 -6.4091 2.7002 -8.8770 -1.9075" Properties=species:S:1:pos:R:3 pbc="T T T"
Mo 1.1392 -7.5396 -4.2932
Mo 3.1868 -7.3244 -6.3815
Mo -0.5304 -1.1743 -4.2623
P 0.6355 -7.4033 -1.9463
P 3.1840 -8.9185 -4.2785
Mo 1.0527 -5.2689 -6.8349
Mo 1.4155 -0.5425 -6.3863
Mo 1.8268 -5.1742 -2.3796
P 2.3670 -5.4045 -4.7868
Mo 0.9691 -2.3224 -1.8162
P -0.0148 -3.9204 -3.2493
Mo 1.7386 -3.0651 -4.7011
P 0.3643 -2.7310 -6.7085
```

Output
The calculated formation energy is -493 meV/atom. Its space group is Pm (6). For the uncorrected energy, the calculation gives -9.2492 eV per atom.


Computed, not measured: a relaxed MoP3 crystal at the PBE-GGA level of DFT.

Cell and atoms, written as extended XYZ:
```
4
Lattice="-4.0975 -1.2412 0.2197 -3.1393 2.8415 -0.6698 -2.3667 -0.2219 -3.5676" Properties=species:S:1:pos:R:3 pbc="T T T"
P -2.4009 0.3446 -1.0044
P -7.2026 1.0338 -3.0133
P -4.8018 0.6892 -2.0089
Mo 0.0000 0.0000 0.0000
```

Output
The calculated formation energy is 397 meV/atom. Its space group is Fm-3m (225). For the uncorrected energy, the calculation gives -6.3741 eV per atom.